# 1
Material: KSr2Br5
Method: DFT, r2SCAN
State: relaxed

Values from the calculation:
energy = -15.145 eV/atom
calculated formation energy = -2.32 eV/atom

Lattice parameters (Å, degrees): 9.3196 8.3515 13.4212 90.00 90.08 90.00
With the nearest neighbours (Å) after each atom.
Positions (direct):
K (0.0058, 0.0367, 0.3284)  7 Br 3.28-3.54
K (0.0058, 0.4633, 0.8284)  7 Br 3.28-3.54
K (0.9942, 0.5367, 0.1716)  7 Br 3.28-3.54
K (0.9942, 0.9633, 0.6716)  7 Br 3.28-3.54
Sr (0.2492, 0.5695, 0.4940)  7 Br 3.02-3.24
Sr (0.2492, 0.9305, 0.9940)  7 Br 3.02-3.24
Sr (0.4987, 0.5225, 0.1781)  8 Br 3.16-3.30
Sr (0.4987, 0.9775, 0.6781)  8 Br 3.16-3.30
Sr (0.5013, 0.0225, 0.3219)  8 Br 3.16-3.30
Sr (0.5013, 0.4775, 0.8219)  8 Br 3.16-3.30
Sr (0.7508, 0.0695, 0.0060)  7 Br 3.02-3.24
Sr (0.7508, 0.4305, 0.5060)  7 Br 3.02-3.24
Br (0.0371, 0.1678, 0.0927)  2 Sr 3.02-3.10, 2 K 3.28-3.36
Br (0.0371, 0.3322, 0.5927)  2 Sr 3.02-3.10, 2 K 3.28-3.36
Br (0.2684, 0.6938, 0.7157)  3 Sr 3.16-3.24, 2 K 3.46
Br (0.2684, 0.8062, 0.2157)  3 Sr 3.16-3.24, 2 K 3.46
Br (0.2789, 0.5436, 0.9971)  3 Sr 3.18-3.24, 2 K 3.47-3.54
Br (0.2789, 0.9564, 0.4971)  3 Sr 3.18-3.24, 2 K 3.47-3.54
Br (0.2797, 0.1696, 0.8169)  3 Sr 3.12-3.30
Br (0.2797, 0.3304, 0.3169)  3 Sr 3.12-3.30
Br (0.4607, 0.1610, 0.1002)  4 Sr 3.08-3.22
Br (0.4607, 0.3390, 0.6002)  4 Sr 3.08-3.22
Br (0.5393, 0.6610, 0.3998)  4 Sr 3.08-3.22
Br (0.5393, 0.8390, 0.8998)  4 Sr 3.08-3.22
Br (0.7203, 0.6696, 0.6831)  3 Sr 3.12-3.30
Br (0.7203, 0.8304, 0.1831)  3 Sr 3.12-3.30
Br (0.7211, 0.0436, 0.5029)  3 Sr 3.18-3.24, 2 K 3.47-3.54
Br (0.7211, 0.4564, 0.0029)  3 Sr 3.18-3.24, 2 K 3.47-3.54
Br (0.7316, 0.1938, 0.7843)  3 Sr 3.16-3.24, 2 K 3.46
Br (0.7316, 0.3062, 0.2843)  3 Sr 3.16-3.24, 2 K 3.46
Br (0.9629, 0.6678, 0.4073)  2 Sr 3.02-3.10, 2 K 3.28-3.36
Br (0.9629, 0.8322, 0.9073)  2 Sr 3.02-3.10, 2 K 3.28-3.36

***

# 2
Material: HfAl
Method: DFT, r2SCAN
State: relaxed

Values from the calculation:
energy = -26.392 eV/atom
calculated formation energy = -0.45 eV/atom

Lattice parameters (Å, degrees): 3.2629 10.7986 4.2483 90.00 90.00 90.00
With the nearest neighbours (Å) after each atom.
Positions (direct):
Hf (0.0000, 0.1632, 0.2500)  7 Al 2.86-3.00
Hf (0.0000, 0.8368, 0.7500)  7 Al 2.86-3.00
Hf (0.5000, 0.3368, 0.7500)  7 Al 2.86-3.00
Hf (0.5000, 0.6632, 0.2500)  7 Al 2.86-3.00
Al (0.0000, 0.4296, 0.2500)  2 Al 2.61, 5 Hf 2.86-2.88
Al (0.0000, 0.5704, 0.7500)  2 Al 2.61, 5 Hf 2.86-2.88
Al (0.5000, 0.0704, 0.7500)  2 Al 2.61, 5 Hf 2.86-2.88
Al (0.5000, 0.9296, 0.2500)  2 Al 2.61, 5 Hf 2.86-2.88

***

# 3
Material: Kr
Method: DFT, r2SCAN
State: relaxed

Values from the calculation:
energy = -12.577 eV/atom
calculated formation energy = 0.01 eV/atom
energy above the most stable polymorph in this dataset = 8 meV per atom

Lattice parameters (Å, degrees): 4.1318 4.1318 13.3996 90.00 90.00 120.00
With the nearest neighbours (Å) after each atom.
Positions (direct):
Kr (0.0000, 0.0000, 0.0000)  12 Kr 4.11-4.13
Kr (0.0000, 0.0000, 0.5000)  12 Kr 4.11-4.13
Kr (0.3333, 0.6667, 0.2500)  12 Kr 4.11-4.13
Kr (0.6667, 0.3333, 0.7500)  12 Kr 4.11-4.13

***

# 4
Material: DyFeC2
Method: DFT, r2SCAN
State: relaxed

Values from the calculation:
energy = -16.865 eV/atom
calculated formation energy = -0.29 eV/atom

Lattice parameters (Å, degrees): 3.6123 4.5262 5.9640 90.00 90.00 90.00
With the nearest neighbours (Å) after each atom.
Positions (direct):
Dy (0.0000, 0.0000, 0.0000)  8 C 2.60-2.69
Dy (0.0000, 0.5000, 0.5000)  8 C 2.60-2.69
Fe (0.5000, 0.0000, 0.4002)  4 C 1.93-1.97
Fe (0.5000, 0.5000, 0.9002)  4 C 1.93-1.97
C (0.5000, 0.1555, 0.7091)  1 C 1.41
C (0.5000, 0.3445, 0.2091)  1 C 1.41
C (0.5000, 0.6555, 0.2091)  1 C 1.41
C (0.5000, 0.8445, 0.7091)  1 C 1.41

***

# 5
Material: Ge3As4
Method: DFT, r2SCAN
State: relaxed

Values from the calculation:
energy = -14.356 eV/atom
calculated formation energy = -0.01 eV/atom

Lattice parameters (Å, degrees): 5.4641 5.4641 5.4641 90.00 90.00 90.00
With the nearest neighbours (Å) after each atom.
Positions (direct):
Ge (0.0000, 0.0000, 0.5000)  4 As 2.47
Ge (0.0000, 0.5000, 0.0000)  4 As 2.47
Ge (0.5000, 0.0000, 0.0000)  4 As 2.47
As (0.2793, 0.2793, 0.7207)  3 Ge 2.47
As (0.2793, 0.7207, 0.2793)  3 Ge 2.47
As (0.7207, 0.2793, 0.2793)  3 Ge 2.47
As (0.7207, 0.7207, 0.7207)  3 Ge 2.47

***

# 6
Material: ZrGa2
Method: DFT, r2SCAN
State: relaxed

Values from the calculation:
energy = -15.831 eV/atom
calculated formation energy = -0.62 eV/atom

Lattice parameters (Å, degrees): 3.9848 12.9159 4.1273 90.00 90.00 90.00
With the nearest neighbours (Å) after each atom.
Positions (direct):
Zr (0.0000, 0.1496, 0.0000)  10 Ga 2.78-3.03
Zr (0.0000, 0.8504, 0.0000)  10 Ga 2.78-3.03
Zr (0.5000, 0.3504, 0.0000)  10 Ga 2.78-3.03
Zr (0.5000, 0.6496, 0.0000)  10 Ga 2.78-3.03
Ga (0.0000, 0.0000, 0.5000)  4 Zr 2.83, 8 Ga 2.87-3.04
Ga (0.0000, 0.3218, 0.5000)  4 Ga 2.72-3.04, 6 Zr 2.89-3.03
Ga (0.0000, 0.5000, 0.0000)  4 Zr 2.78, 8 Ga 2.87-3.09
Ga (0.0000, 0.6782, 0.5000)  4 Ga 2.72-3.04, 6 Zr 2.89-3.03
Ga (0.5000, 0.0000, 0.0000)  4 Zr 2.78, 8 Ga 2.87-3.09
Ga (0.5000, 0.1782, 0.5000)  4 Ga 2.72-3.04, 6 Zr 2.89-3.03
Ga (0.5000, 0.5000, 0.5000)  4 Zr 2.83, 8 Ga 2.87-3.04
Ga (0.5000, 0.8218, 0.5000)  4 Ga 2.72-3.04, 6 Zr 2.89-3.03

***

# 7
Material: SrFeO3
Method: DFT, r2SCAN
State: relaxed

Values from the calculation:
energy = -11.784 eV/atom
calculated formation energy = -2.29 eV/atom

Lattice parameters (Å, degrees): 3.8288 3.8288 3.8288 90.00 90.00 90.00
With the nearest neighbours (Å) after each atom.
Positions (direct):
Sr (0.0000, 0.0000, 0.0000)  12 O 2.71
Fe (0.5000, 0.5000, 0.5000)  6 O 1.91
O (0.0000, 0.5000, 0.5000)  2 Fe 1.91
O (0.5000, 0.0000, 0.5000)  2 Fe 1.91
O (0.5000, 0.5000, 0.0000)  2 Fe 1.91

***

# 8
Material: Nd3Co29Si4B10
Method: DFT, r2SCAN
State: relaxed

Values from the calculation:
energy = -12.945 eV/atom
calculated formation energy = -0.32 eV/atom

Lattice parameters (Å, degrees): 11.1682 11.1682 7.7971 90.00 90.00 90.00
With the nearest neighbours (Å) after each atom.
Positions (direct):
Nd (0.0000, 0.0000, 0.0000)  10 Co 2.90-2.96, 4 Si 3.20
Nd (0.0000, 0.5000, 0.0000)  10 Co 2.90-2.96, 4 Si 3.20
Nd (0.2500, 0.7500, 0.5000)  16 Co 2.96-3.26, 4 Si 3.24, 4 B 3.30
Nd (0.5000, 0.0000, 0.0000)  10 Co 2.90-2.96, 4 Si 3.20
Nd (0.5000, 0.5000, 0.0000)  10 Co 2.90-2.96, 4 Si 3.20
Nd (0.7500, 0.2500, 0.5000)  16 Co 2.96-3.26, 4 Si 3.24, 4 B 3.30
Co (0.0228, 0.2500, 0.4691)  3 B 2.11-2.14
Co (0.0738, 0.5893, 0.3358)  3 B 2.03-2.11
Co (0.0738, 0.9107, 0.3358)  3 B 2.03-2.11
Co (0.0855, 0.2500, 0.9695)  3 B 2.05-2.12
Co (0.0893, 0.5738, 0.6642)  3 B 2.03-2.11
Co (0.0893, 0.9262, 0.6642)  3 B 2.03-2.11
Co (0.1352, 0.1352, 0.2510)  2 B 2.13-2.14
Co (0.1352, 0.3648, 0.2510)  2 B 2.13-2.14
Co (0.1395, 0.7500, 0.1124)  1 B 1.90
Co (0.1410, 0.1410, 0.6950)  4 B 2.06-2.12
Co (0.1410, 0.3590, 0.6950)  4 B 2.06-2.12
Co (0.2500, 0.0228, 0.4691)  3 B 2.11-2.14
Co (0.2500, 0.0855, 0.9695)  3 B 2.05-2.12
Co (0.2500, 0.2500, 0.4623)  12 Co 2.45-2.54
Co (0.2500, 0.4145, 0.9695)  3 B 2.05-2.12
Co (0.2500, 0.4772, 0.4691)  3 B 2.11-2.14
Co (0.2500, 0.6395, 0.8876)  1 B 1.90
Co (0.2500, 0.8605, 0.8876)  1 B 1.90
Co (0.3590, 0.1410, 0.6950)  4 B 2.06-2.12
Co (0.3590, 0.3590, 0.6950)  4 B 2.06-2.12
Co (0.3605, 0.7500, 0.1124)  1 B 1.90
Co (0.3648, 0.1352, 0.2510)  2 B 2.13-2.14
Co (0.3648, 0.3648, 0.2510)  2 B 2.13-2.14
Co (0.4107, 0.5738, 0.6642)  3 B 2.03-2.11
Co (0.4107, 0.9262, 0.6642)  3 B 2.03-2.11
Co (0.4145, 0.2500, 0.9695)  3 B 2.05-2.12
Co (0.4262, 0.5893, 0.3358)  3 B 2.03-2.11
Co (0.4262, 0.9107, 0.3358)  3 B 2.03-2.11
Co (0.4772, 0.2500, 0.4691)  3 B 2.11-2.14
Co (0.5228, 0.7500, 0.5309)  3 B 2.11-2.14
Co (0.5738, 0.0893, 0.6642)  3 B 2.03-2.11
Co (0.5738, 0.4107, 0.6642)  3 B 2.03-2.11
Co (0.5855, 0.7500, 0.0305)  3 B 2.05-2.12
Co (0.5893, 0.0738, 0.3358)  3 B 2.03-2.11
Co (0.5893, 0.4262, 0.3358)  3 B 2.03-2.11
Co (0.6352, 0.6352, 0.7490)  2 B 2.13-2.14
Co (0.6352, 0.8648, 0.7490)  2 B 2.13-2.14
Co (0.6395, 0.2500, 0.8876)  1 B 1.90
Co (0.6410, 0.6410, 0.3050)  4 B 2.06-2.12
Co (0.6410, 0.8590, 0.3050)  4 B 2.06-2.12
Co (0.7500, 0.1395, 0.1124)  1 B 1.90
Co (0.7500, 0.3605, 0.1124)  1 B 1.90
Co (0.7500, 0.5228, 0.5309)  3 B 2.11-2.14
Co (0.7500, 0.5855, 0.0305)  3 B 2.05-2.12
Co (0.7500, 0.7500, 0.5377)  12 Co 2.45-2.54
Co (0.7500, 0.9145, 0.0305)  3 B 2.05-2.12
Co (0.7500, 0.9772, 0.5309)  3 B 2.11-2.14
Co (0.8590, 0.6410, 0.3050)  4 B 2.06-2.12
Co (0.8590, 0.8590, 0.3050)  4 B 2.06-2.12
Co (0.8605, 0.2500, 0.8876)  1 B 1.90
Co (0.8648, 0.6352, 0.7490)  2 B 2.13-2.14
Co (0.8648, 0.8648, 0.7490)  2 B 2.13-2.14
Co (0.9107, 0.0738, 0.3358)  3 B 2.03-2.11
Co (0.9107, 0.4262, 0.3358)  3 B 2.03-2.11
Co (0.9145, 0.7500, 0.0305)  3 B 2.05-2.12
Co (0.9262, 0.0893, 0.6642)  3 B 2.03-2.11
Co (0.9262, 0.4107, 0.6642)  3 B 2.03-2.11
Co (0.9772, 0.7500, 0.5309)  3 B 2.11-2.14
Si (0.0711, 0.7500, 0.8265)  7 Co 2.35-2.53
Si (0.2500, 0.5711, 0.1735)  7 Co 2.35-2.53
Si (0.2500, 0.9289, 0.1735)  7 Co 2.35-2.53
Si (0.4289, 0.7500, 0.8265)  7 Co 2.35-2.53
Si (0.5711, 0.2500, 0.1735)  7 Co 2.35-2.53
Si (0.7500, 0.0711, 0.8265)  7 Co 2.35-2.53
Si (0.7500, 0.4289, 0.8265)  7 Co 2.35-2.53
Si (0.9289, 0.2500, 0.1735)  7 Co 2.35-2.53
B (0.0052, 0.7500, 0.2628)  7 Co 1.90-2.11
B (0.0625, 0.0625, 0.4817)  1 B 2.00, 8 Co 2.05-2.14
B (0.0625, 0.4375, 0.4817)  1 B 2.00, 8 Co 2.05-2.14
B (0.2500, 0.2500, 0.1042)  1 B 1.96, 8 Co 2.12-2.14
B (0.2500, 0.2500, 0.8527)  1 B 1.96, 8 Co 2.05-2.12
B (0.2500, 0.5052, 0.7372)  7 Co 1.90-2.11
B (0.2500, 0.9948, 0.7372)  7 Co 1.90-2.11
B (0.4375, 0.0625, 0.4817)  1 B 2.00, 8 Co 2.05-2.14
B (0.4375, 0.4375, 0.4817)  1 B 2.00, 8 Co 2.05-2.14
B (0.4948, 0.7500, 0.2628)  7 Co 1.90-2.11
B (0.5052, 0.2500, 0.7372)  7 Co 1.90-2.11
B (0.5625, 0.5625, 0.5183)  1 B 2.00, 8 Co 2.05-2.14
B (0.5625, 0.9375, 0.5183)  1 B 2.00, 8 Co 2.05-2.14
B (0.7500, 0.0052, 0.2628)  7 Co 1.90-2.11
B (0.7500, 0.4948, 0.2628)  7 Co 1.90-2.11
B (0.7500, 0.7500, 0.1473)  1 B 1.96, 8 Co 2.05-2.12
B (0.7500, 0.7500, 0.8958)  1 B 1.96, 8 Co 2.12-2.14
B (0.9375, 0.5625, 0.5183)  1 B 2.00, 8 Co 2.05-2.14
B (0.9375, 0.9375, 0.5183)  1 B 2.00, 8 Co 2.05-2.14
B (0.9948, 0.2500, 0.7372)  7 Co 1.90-2.11

***

# 9
Material: Pr3Os
Method: DFT, r2SCAN
State: relaxed

Values from the calculation:
energy = -35.401 eV/atom
calculated formation energy = -0.10 eV/atom

Lattice parameters (Å, degrees): 7.4978 9.7674 6.6348 90.00 90.00 90.00
With the nearest neighbours (Å) after each atom.
Positions (direct):
Pr (0.0476, 0.2500, 0.1413)  2 Os 2.84-2.94
Pr (0.1718, 0.0679, 0.6736)  2 Os 2.90-3.04
Pr (0.1718, 0.4321, 0.6736)  2 Os 2.90-3.04
Pr (0.3282, 0.5679, 0.1736)  2 Os 2.90-3.04
Pr (0.3282, 0.9321, 0.1736)  2 Os 2.90-3.04
Pr (0.4524, 0.7500, 0.6413)  2 Os 2.84-2.94
Pr (0.5476, 0.2500, 0.3587)  2 Os 2.84-2.94
Pr (0.6718, 0.0679, 0.8264)  2 Os 2.90-3.04
Pr (0.6718, 0.4321, 0.8264)  2 Os 2.90-3.04
Pr (0.8282, 0.5679, 0.3264)  2 Os 2.90-3.04
Pr (0.8282, 0.9321, 0.3264)  2 Os 2.90-3.04
Pr (0.9524, 0.7500, 0.8587)  2 Os 2.84-2.94
Os (0.1114, 0.7500, 0.4540)  6 Pr 2.84-3.04
Os (0.3886, 0.2500, 0.9540)  6 Pr 2.84-3.04
Os (0.6114, 0.7500, 0.0460)  6 Pr 2.84-3.04
Os (0.8886, 0.2500, 0.5460)  6 Pr 2.84-3.04

***

| no. | V (Å³/atom) | total moment (μB/f.u.) |
| --- | --- | --- |
| 1 | 32.644 | 0.00 |
| 2 | 18.711 | 0.00 |
| 3 | 49.528 | 0.00 |
| 4 | 12.189 | 1.75 |
| 5 | 23.305 | 0.00 |
| 6 | 17.702 | 0.00 |
| 7 | 11.226 | 3.88 |
| 8 | 10.571 | 30.39 |
| 9 | 30.368 | 0.00 |